Density functional theory data (PBE with a Hubbard U) for crystalline LiFePO4 at its relaxed geometry.

a b c (Å): 5.1123 10.2539 6.8971
angles (deg): 90.00 89.83 90.00
Element x y z (fractional)
Li (0.2031, 0.1509, 0.5009)
Li (0.7969, 0.8491, 0.4991)
Li (0.7031, 0.3491, 0.0009)
Li (0.2969, 0.6509, 0.9991)
O (0.9007, 0.3761, 0.2478)
O (0.1853, 0.8397, 0.0632)
O (0.3250, 0.3427, 0.0657)
O (0.6750, 0.6573, 0.9343)
O (0.8250, 0.1573, 0.5657)
O (0.1751, 0.8427, 0.4344)
O (0.5992, 0.8762, 0.2521)
O (0.0992, 0.6238, 0.7521)
O (0.4008, 0.1238, 0.7479)
O (0.7580, 0.9472, 0.7505)
O (0.2580, 0.5527, 0.2506)
O (0.6853, 0.6603, 0.5631)
O (0.2420, 0.0527, 0.2494)
O (0.8147, 0.1603, 0.9369)
O (0.7420, 0.4472, 0.7494)
O (0.3147, 0.3397, 0.4368)
Fe (0.2941, 0.6564, 0.4992)
Fe (0.2059, 0.1564, 0.0007)
Fe (0.7061, 0.3437, 0.5008)
Fe (0.7941, 0.8437, 0.9993)
P (0.2008, 0.4038, 0.2501)
P (0.2992, 0.9038, 0.2499)
P (0.7992, 0.5962, 0.7499)
P (0.7008, 0.0962, 0.7501)

Uncorrected energy in eV per atom: -6.837
Energy above the most stable polymorph in this dataset in meV/atom: 12
Calculated formation energy in eV per formula unit: -17.28
Space group: P2_1/c, No. 14
Density in Mg/m³: 2.90
Total magnetic moment in μB/cell: 0.00

=====

Density functional theory data (PBE with a Hubbard U) for crystalline Li3Fe2P3O12 at its relaxed geometry.

a b c (Å): 8.4445 8.4445 8.6738
angles (deg): 61.48 61.48 63.10
Element x y z (fractional)
O (0.9474, 0.2303, 0.5807)
O (0.9860, 0.8778, 0.6992)
O (0.3890, 0.6769, 0.5431)
O (0.5537, 0.8134, 0.6074)
O (0.6110, 0.3231, 0.4569)
O (0.0994, 0.4388, 0.2264)
O (0.5612, 0.9006, 0.2736)
O (0.2459, 0.4079, 0.5699)
O (0.0140, 0.1222, 0.3008)
O (0.5921, 0.7541, 0.9301)
O (0.1866, 0.4463, 0.8926)
O (0.8134, 0.5537, 0.1074)
O (0.0526, 0.7697, 0.4193)
O (0.4388, 0.0994, 0.7264)
O (0.8778, 0.9860, 0.1992)
O (0.6769, 0.3890, 0.0431)
O (0.3231, 0.6110, 0.9569)
O (0.7541, 0.5921, 0.4301)
O (0.4079, 0.2459, 0.0699)
O (0.2303, 0.9474, 0.0807)
O (0.1222, 0.0140, 0.8008)
O (0.9006, 0.5612, 0.7736)
O (0.4463, 0.1866, 0.3926)
O (0.7697, 0.0526, 0.9193)
Li (0.1603, 0.2354, 0.8582)
Li (0.0000, 0.5000, 0.5000)
Li (0.2354, 0.1603, 0.3582)
Li (0.7646, 0.8397, 0.6418)
Li (0.5000, 0.0000, 0.0000)
Li (0.8397, 0.7646, 0.1418)
P (0.4400, 0.2553, 0.5320)
P (0.0448, 0.9552, 0.2500)
P (0.2553, 0.4400, 0.0320)
P (0.9552, 0.0448, 0.7500)
P (0.7447, 0.5600, 0.9680)
P (0.5600, 0.7447, 0.4680)
Fe (0.1480, 0.6373, 0.6471)
Fe (0.6373, 0.1480, 0.1471)
Fe (0.8520, 0.3627, 0.3529)
Fe (0.3627, 0.8520, 0.8529)

Uncorrected energy in eV per atom: -6.754
Energy above the most stable polymorph in this dataset in meV/atom: 29
Calculated formation energy in eV per formula unit: -49.55
Space group: C2/c, No. 15
Density in Mg/m³: 3.03
Total magnetic moment in μB/cell: 20.00

=====

Density functional theory data (PBE with a Hubbard U) for crystalline LiFePO4 at its relaxed geometry.

a b c (Å): 5.2301 7.8457 8.3739
angles (deg): 94.85 91.28 77.56
Element x y z (fractional)
O (0.8816, 0.6564, 0.2687)
O (0.9850, 0.7148, 0.9299)
O (0.9354, 0.8312, 0.5273)
O (0.0646, 0.1689, 0.4727)
O (0.7371, 0.5601, 0.5326)
O (0.8374, 0.0364, 0.1734)
O (0.4725, 0.8204, 0.4204)
O (0.2629, 0.4399, 0.4674)
O (0.6481, 0.1705, 0.9184)
O (0.1183, 0.3436, 0.7313)
O (0.3519, 0.8295, 0.0816)
O (0.0150, 0.2852, 0.0701)
O (0.5633, 0.3425, 0.1916)
O (0.5275, 0.1796, 0.5796)
O (0.1626, 0.9636, 0.8266)
O (0.4367, 0.6575, 0.8084)
P (0.7576, 0.7184, 0.4368)
P (0.7654, 0.2083, 0.0859)
P (0.2424, 0.2816, 0.5632)
P (0.2346, 0.7917, 0.9142)
Li (0.7301, 0.8150, 0.1026)
Li (0.6832, 0.3272, 0.4296)
Li (0.2699, 0.1850, 0.8974)
Li (0.3168, 0.6728, 0.5705)
Fe (0.1792, 0.4452, 0.2243)
Fe (0.8209, 0.5548, 0.7757)
Fe (0.8332, 0.0511, 0.6988)
Fe (0.1668, 0.9489, 0.3012)

Uncorrected energy in eV per atom: -6.808
Energy above the most stable polymorph in this dataset in meV/atom: 41
Calculated formation energy in eV per formula unit: -17.07
Space group: P-1, No. 2
Density in Mg/m³: 3.13
Total magnetic moment in μB/cell: 16.00

=====

Density functional theory data (PBE with a Hubbard U) for crystalline LiFePO4 at its relaxed geometry.

a b c (Å): 5.1538 11.2645 6.2065
angles (deg): 90.00 90.00 90.00
Element x y z (fractional)
Fe (0.2421, 0.4169, 0.2824)
Fe (0.2421, 0.9169, 0.2175)
Fe (0.7421, 0.0831, 0.7824)
Fe (0.7421, 0.5831, 0.7175)
P (0.2504, 0.6710, 0.4738)
P (0.7505, 0.8290, 0.9738)
P (0.2504, 0.1710, 0.0262)
P (0.7504, 0.3290, 0.5262)
Li (0.2480, 0.6734, 0.9760)
Li (0.2480, 0.1734, 0.5240)
Li (0.7479, 0.3266, 0.0240)
Li (0.7479, 0.8266, 0.4760)
O (0.0490, 0.8195, 0.9965)
O (0.1888, 0.5932, 0.2705)
O (0.1310, 0.7968, 0.4458)
O (0.6365, 0.8885, 0.1806)
O (0.1889, 0.0931, 0.2295)
O (0.1310, 0.2968, 0.0541)
O (0.5490, 0.6805, 0.4965)
O (0.0490, 0.3195, 0.5035)
O (0.5490, 0.1805, 0.0035)
O (0.6888, 0.4069, 0.7294)
O (0.6311, 0.7032, 0.9459)
O (0.6889, 0.9068, 0.7706)
O (0.1365, 0.1115, 0.8195)
O (0.6311, 0.2032, 0.5541)
O (0.1365, 0.6115, 0.6806)
O (0.6365, 0.3885, 0.3194)

Uncorrected energy in eV per atom: -6.803
Energy above the most stable polymorph in this dataset in meV/atom: 45
Calculated formation energy in eV per formula unit: -17.04
Space group: Pna2_1, No. 33
Largest piezoelectric modulus in C/m²: 0.55
Density in Mg/m³: 2.91
Total magnetic moment in μB/cell: 0.00

=====

Density functional theory data (PBE with a Hubbard U) for crystalline LiFePO4 at its relaxed geometry.

a b c (Å): 4.7993 10.4144 6.2435
angles (deg): 90.00 89.98 90.00
Element x y z (fractional)
O (0.1978, 0.6601, 0.0457)
O (0.1979, 0.6601, 0.4542)
O (0.7540, 0.5877, 0.2500)
O (0.2880, 0.9553, 0.2500)
O (0.6978, 0.8399, 0.5457)
O (0.8021, 0.3399, 0.5458)
O (0.7880, 0.5447, 0.7500)
O (0.2541, 0.9123, 0.7500)
O (0.3022, 0.1601, 0.4543)
O (0.6979, 0.8399, 0.9542)
O (0.2460, 0.4123, 0.7500)
O (0.7120, 0.0447, 0.7500)
O (0.8022, 0.3399, 0.9543)
O (0.2120, 0.4553, 0.2500)
O (0.7459, 0.0877, 0.2500)
O (0.3021, 0.1601, 0.0458)
Fe (0.0000, 0.0000, 0.0000)
Fe (0.5000, 0.5000, 0.5000)
Fe (0.0000, 0.0000, 0.5000)
Fe (0.5000, 0.5000, 0.0000)
P (0.5796, 0.9040, 0.7500)
P (0.4204, 0.0960, 0.2500)
P (0.0796, 0.5960, 0.2500)
P (0.9204, 0.4040, 0.7500)
Li (0.5050, 0.7871, 0.2500)
Li (0.9950, 0.2871, 0.2500)
Li (0.4950, 0.2129, 0.7500)
Li (0.0050, 0.7129, 0.7500)

Uncorrected energy in eV per atom: -6.793
Energy above the most stable polymorph in this dataset in meV/atom: 56
Calculated formation energy in eV per formula unit: -16.97
Space group: Pnma, No. 62
Density in Mg/m³: 3.36
Total magnetic moment in μB/cell: 0.00

=====

Density functional theory data (PBE with a Hubbard U) for crystalline LiFeP2O7 at its relaxed geometry.

a b c (Å): 6.3129 6.3129 13.4179
angles (deg): 74.16 74.16 80.33
Element x y z (fractional)
O (0.9141, 0.7283, 0.3152)
O (0.4395, 0.5333, 0.6453)
O (0.6141, 0.2152, 0.9766)
O (0.4667, 0.5605, 0.8547)
O (0.0158, 0.5742, 0.8040)
O (0.0674, 0.8876, 0.8830)
O (0.8099, 0.6694, 0.6256)
O (0.2152, 0.6141, 0.4766)
O (0.8876, 0.0674, 0.3830)
O (0.9326, 0.1124, 0.1170)
O (0.7848, 0.3859, 0.5234)
O (0.5333, 0.4395, 0.1453)
O (0.6694, 0.8099, 0.1256)
O (0.9842, 0.4258, 0.1960)
O (0.1901, 0.3306, 0.3744)
O (0.6121, 0.7878, 0.4786)
O (0.2717, 0.0859, 0.1848)
O (0.0859, 0.2717, 0.6848)
O (0.7878, 0.6121, 0.9786)
O (0.3859, 0.7848, 0.0234)
O (0.5605, 0.4667, 0.3547)
O (0.7283, 0.9141, 0.8152)
O (0.5742, 0.0158, 0.3040)
O (0.1124, 0.9326, 0.6170)
O (0.4258, 0.9842, 0.6960)
O (0.3306, 0.1901, 0.8744)
O (0.2122, 0.3879, 0.0214)
O (0.3879, 0.2122, 0.5214)
P (0.6669, 0.5796, 0.5736)
P (0.5796, 0.6669, 0.0736)
P (0.7537, 0.9052, 0.3640)
P (0.2463, 0.0948, 0.6360)
P (0.4204, 0.3331, 0.9264)
P (0.0948, 0.2463, 0.1360)
P (0.9052, 0.7537, 0.8640)
P (0.3331, 0.4204, 0.4264)
Fe (0.8762, 0.4026, 0.3581)
Fe (0.5974, 0.1238, 0.1419)
Fe (0.4026, 0.8762, 0.8581)
Fe (0.1238, 0.5974, 0.6419)
Li (0.9805, 0.2327, 0.8710)
Li (0.7673, 0.0195, 0.6290)
Li (0.2327, 0.9805, 0.3710)
Li (0.0195, 0.7673, 0.1290)

Uncorrected energy in eV per atom: -6.942
Energy above the most stable polymorph in this dataset in meV/atom: 19
Calculated formation energy in eV per formula unit: -27.58
Space group: C2/c, No. 15
Density in Mg/m³: 3.19
Total magnetic moment in μB/cell: 20.00

=====

Density functional theory data (PBE with a Hubbard U) for crystalline Li4Fe3SbP4O16 at its relaxed geometry.

a b c (Å): 6.3060 4.7708 10.7539
angles (deg): 88.29 90.00 90.00
Element x y z (fractional)
O (0.8010, 0.7877, 0.6747)
O (0.5000, 0.1984, 0.5519)
O (0.0000, 0.8084, 0.4735)
O (0.5000, 0.2788, 0.0375)
O (0.5000, 0.7339, 0.9006)
O (0.7933, 0.6824, 0.1432)
O (0.3116, 0.2369, 0.3472)
O (0.0000, 0.7155, 0.9457)
O (0.3030, 0.2848, 0.8336)
O (0.2067, 0.6824, 0.1432)
O (0.0000, 0.2449, 0.6069)
O (0.1990, 0.7877, 0.6747)
O (0.6884, 0.2369, 0.3472)
O (0.6970, 0.2848, 0.8336)
O (0.5000, 0.7676, 0.4084)
O (0.0000, 0.2493, 0.0705)
Li (0.2489, 0.9928, 0.9919)
Li (0.2476, 0.5067, 0.5053)
Li (0.7511, 0.9928, 0.9919)
Li (0.7524, 0.5067, 0.5053)
Fe (0.5000, 0.9687, 0.7246)
Fe (0.5000, 0.5173, 0.2052)
Fe (0.0000, 0.4653, 0.7867)
Sb (0.0000, 0.0750, 0.2885)
P (0.5000, 0.4111, 0.9030)
P (0.5000, 0.0869, 0.4180)
P (0.0000, 0.9227, 0.6088)
P (0.0000, 0.5736, 0.0784)

Uncorrected energy in eV per atom: -6.659
Calculated formation energy in eV per formula unit: -66.20
Space group: Pm, No. 6
Density in Mg/m³: 3.58
Total magnetic moment in μB/cell: 13.00

=====

Density functional theory data (PBE with a Hubbard U) for crystalline Li4Fe5SbP6O24 at its relaxed geometry.

a b c (Å): 8.3742 8.5043 8.5325
angles (deg): 64.72 65.19 65.25
Element x y z (fractional)
O (0.4241, 0.2522, 0.5818)
O (0.9063, 0.6843, 0.4883)
O (0.5687, 0.7610, 0.4049)
O (0.9246, 0.0998, 0.7438)
O (0.9429, 0.1725, 0.4080)
O (0.2589, 0.5884, 0.4119)
O (0.1021, 0.7454, 0.9224)
O (0.5916, 0.4117, 0.2600)
O (0.7540, 0.4057, 0.5700)
O (0.6863, 0.4846, 0.9071)
O (0.8167, 0.5761, 0.0716)
O (0.1102, 0.3047, 0.4828)
O (0.1720, 0.3993, 0.9754)
O (0.3166, 0.5015, 0.1061)
O (0.4053, 0.5678, 0.7596)
O (0.0705, 0.9013, 0.2502)
O (0.5381, 0.1026, 0.3127)
O (0.0800, 0.8101, 0.5764)
O (0.7546, 0.9180, 0.1002)
O (0.4847, 0.9065, 0.6891)
O (0.3963, 0.9952, 0.1826)
O (0.2392, 0.0835, 0.8918)
O (0.8863, 0.2393, 0.0907)
O (0.5744, 0.0728, 0.8182)
Fe (0.3493, 0.3532, 0.3484)
Fe (0.0106, 0.0014, 0.9978)
Fe (0.6557, 0.6580, 0.6603)
Fe (0.4920, 0.5041, 0.5008)
Fe (0.1441, 0.1497, 0.1485)
P (0.7469, 0.4330, 0.0728)
P (0.4290, 0.0748, 0.7489)
P (0.5540, 0.9493, 0.2499)
P (0.9382, 0.2449, 0.5454)
P (0.2486, 0.5438, 0.9470)
P (0.0760, 0.7475, 0.4317)
Sb (0.8429, 0.8357, 0.8421)
Li (0.7487, 0.1389, 0.3526)
Li (0.6392, 0.2787, 0.8410)
Li (0.2797, 0.8386, 0.6458)
Li (0.8409, 0.6409, 0.2845)

Uncorrected energy in eV per atom: -6.795
Calculated formation energy in eV per formula unit: -94.21
Space group: P1, No. 1
Density in Mg/m³: 3.48
Total magnetic moment in μB/cell: 21.00

=====

Density functional theory data (PBE with a Hubbard U) for crystalline Li5Fe3Sb2P6O24 at its relaxed geometry.

a b c (Å): 8.8210 9.0419 8.9947
angles (deg): 59.27 60.27 60.02
Element x y z (fractional)
Fe (0.3524, 0.3335, 0.3468)
Fe (0.1501, 0.1635, 0.1504)
Fe (0.6385, 0.6529, 0.6580)
O (0.3836, 0.0369, 0.2113)
O (0.0730, 0.7296, 0.9786)
O (0.6954, 0.4894, 0.9059)
O (0.7985, 0.6079, 0.0350)
O (0.4557, 0.9090, 0.7152)
O (0.1897, 0.3992, 0.0028)
O (0.7510, 0.3638, 0.6141)
O (0.4197, 0.2445, 0.5955)
O (0.0475, 0.9291, 0.2743)
O (0.2668, 0.0812, 0.9309)
O (0.0951, 0.3313, 0.4824)
O (0.9142, 0.2647, 0.0836)
O (0.6166, 0.0195, 0.7957)
O (0.7354, 0.9760, 0.0672)
O (0.0412, 0.7890, 0.6059)
O (0.3765, 0.6076, 0.7611)
O (0.6000, 0.4103, 0.2568)
O (0.8890, 0.6986, 0.4989)
O (0.2412, 0.5989, 0.4068)
O (0.6040, 0.7661, 0.3781)
O (0.5601, 0.0910, 0.3260)
O (0.3402, 0.5013, 0.0977)
O (0.9867, 0.0624, 0.7179)
O (0.9747, 0.1954, 0.3919)
P (0.4466, 0.0520, 0.7641)
P (0.0466, 0.7532, 0.4545)
P (0.7552, 0.4552, 0.0549)
P (0.5617, 0.9702, 0.2523)
P (0.9554, 0.2463, 0.5430)
P (0.2538, 0.5491, 0.9648)
Li (0.1838, 0.8375, 0.6650)
Li (0.8343, 0.6812, 0.1722)
Li (0.8333, 0.8142, 0.8196)
Li (0.6757, 0.1626, 0.8411)
Li (0.7682, 0.1221, 0.3375)
Sb (0.4708, 0.4892, 0.4860)
Sb (0.0175, 0.9913, 0.9791)

Uncorrected energy in eV per atom: -6.664
Calculated formation energy in eV per formula unit: -95.38
Space group: P1, No. 1
Density in Mg/m³: 3.34
Total magnetic moment in μB/cell: 13.00

=====

Density functional theory data (PBE with a Hubbard U) for crystalline Li6Fe3SnP6O24 at its relaxed geometry.

a b c (Å): 8.5877 8.6465 8.6569
angles (deg): 61.77 62.05 62.05
Element x y z (fractional)
Sn (0.1453, 0.1463, 0.1502)
Li (0.9771, 0.9986, 0.9917)
Li (0.3568, 0.1613, 0.7053)
Li (0.7069, 0.3527, 0.1609)
Li (0.2538, 0.6483, 0.8512)
Li (0.5194, 0.5026, 0.4965)
Li (0.1607, 0.7040, 0.3568)
O (0.7556, 0.5720, 0.4096)
O (0.9416, 0.7368, 0.0834)
O (0.5327, 0.3063, 0.1031)
O (0.9055, 0.0693, 0.2611)
O (0.7434, 0.0917, 0.9232)
O (0.4457, 0.5900, 0.2276)
O (0.6944, 0.8819, 0.4951)
O (0.3926, 0.1922, 0.9857)
O (0.4643, 0.6993, 0.8851)
O (0.6167, 0.8133, 0.9819)
O (0.2321, 0.4402, 0.5938)
O (0.0958, 0.9224, 0.7468)
O (0.2572, 0.9058, 0.0761)
O (0.8746, 0.5081, 0.7094)
O (0.1950, 0.9830, 0.3944)
O (0.5944, 0.2302, 0.4464)
O (0.3128, 0.1008, 0.5287)
O (0.9822, 0.3916, 0.1991)
O (0.1003, 0.5276, 0.3164)
O (0.8278, 0.9949, 0.6104)
O (0.0675, 0.2636, 0.9106)
O (0.5537, 0.4192, 0.7646)
O (0.4058, 0.7535, 0.5754)
O (0.0268, 0.6099, 0.8198)
Fe (0.3508, 0.3470, 0.3543)
Fe (0.8535, 0.8605, 0.8562)
Fe (0.6476, 0.6435, 0.6389)
P (0.2531, 0.9464, 0.5575)
P (0.9450, 0.5583, 0.2541)
P (0.5587, 0.2517, 0.9462)
P (0.0461, 0.4627, 0.7551)
P (0.7525, 0.0403, 0.4613)
P (0.4539, 0.7493, 0.0393)

Uncorrected energy in eV per atom: -6.700
Calculated formation energy in eV per formula unit: -99.14
Space group: P1, No. 1
Density in Mg/m³: 3.14
Total magnetic moment in μB/cell: 14.00